[1]
A plane-wave DFT calculation with PBE was carried out for crystalline Ba3In2N4 at its relaxed geometry.

Results
Energy above the most stable polymorph in this dataset ... 0.00 kJ/mol of atoms
Total moment ... 0.01 μB/cell
Energy of formation from the pure elements ... -0.399 eV/atom

Cell: 6.5101 11.3912 10.3241 Å, 90.00 90.00 90.00°
Element x y z (fractional)
Ba: 0.7500 0.5000 0.4042
N: 0.9967 0.4067 0.1633
N: 0.8779 0.3518 0.6207
N: 0.1221 0.6482 0.3793
N: 0.0033 0.5933 0.8367
Ba: 0.8886 0.6560 0.0863
Ba: 0.3886 0.8440 0.5863
N: 0.6221 0.6482 0.6207
N: 0.8779 0.1482 0.8793
In: 0.7500 0.0000 0.7662
N: 0.1221 0.8518 0.1207
Ba: 0.2500 0.5000 0.5958
In: 0.7500 0.5000 0.7338
Ba: 0.6114 0.3440 0.0863
Ba: 0.1114 0.3440 0.9137
N: 0.5033 0.5933 0.1633
In: 0.2500 0.5000 0.2662
N: 0.4967 0.4067 0.8367
In: 0.1506 0.2500 0.2500
Ba: 0.2500 0.0000 0.9042
N: 0.4967 0.0933 0.6633
N: 0.3779 0.1482 0.1207
In: 0.8494 0.7500 0.7500
In: 0.2500 0.0000 0.2338
N: 0.3779 0.3518 0.3793
Ba: 0.1114 0.1560 0.5863
Ba: 0.7500 0.0000 0.0958
Ba: 0.6114 0.1560 0.4137
N: 0.9967 0.0933 0.3367
In: 0.3494 0.7500 0.2500
N: 0.0033 0.9067 0.6633
Ba: 0.3886 0.6560 0.9137
N: 0.5033 0.9067 0.3367
N: 0.6221 0.8518 0.8793
Ba: 0.8886 0.8440 0.4137
In: 0.6506 0.2500 0.7500

***

[2]
A plane-wave DFT calculation with PBE was carried out for crystalline Ba2NbInO6 at its relaxed geometry.

Results
Total moment ... 0.00 μB/cell
Energy of formation from the pure elements ... -2.960 eV/atom

Cell: 5.9541 5.9541 5.9541 Å, 60.00 60.00 60.00°
Element x y z (fractional)
O: 0.2401 0.7599 0.2401
O: 0.2401 0.2401 0.7599
O: 0.7599 0.7599 0.2401
In: 0.5000 0.5000 0.5000
Ba: 0.2500 0.2500 0.2500
O: 0.7599 0.2401 0.7599
O: 0.2401 0.7599 0.7599
Ba: 0.7500 0.7500 0.7500
O: 0.7599 0.2401 0.2401
Nb: 0.0000 0.0000 0.0000

***

[3]
A plane-wave DFT calculation with PBE was carried out for crystalline BaNbInSnO6 at its relaxed geometry.

Results
Total moment ... 0.00 μB/cell
Energy of formation from the pure elements ... -2.477 eV/atom

Cell: 5.9041 5.9041 5.9041 Å, 60.00 60.00 60.00°
Element x y z (fractional)
O: 0.2590 0.7410 0.7410
Sn: 0.2500 0.2500 0.2500
Nb: 0.5000 0.5000 0.5000
O: 0.2590 0.2590 0.7410
Ba: 0.7500 0.7500 0.7500
In: 0.0000 0.0000 0.0000
O: 0.7410 0.7410 0.2590
O: 0.7410 0.2590 0.7410
O: 0.7410 0.2590 0.2590
O: 0.2590 0.7410 0.2590

***

[4]
A plane-wave DFT calculation with PBE was carried out for crystalline BaSrNbInO6 at its relaxed geometry.

Results
Total moment ... 0.00 μB/cell
Energy of formation from the pure elements ... -2.944 eV/atom

Cell: 5.9072 5.9072 5.9072 Å, 60.00 60.00 60.00°
Element x y z (fractional)
Nb: 0.5000 0.5000 0.5000
In: 0.0000 0.0000 0.0000
Sr: 0.7500 0.7500 0.7500
O: 0.7408 0.2592 0.2592
O: 0.7408 0.2592 0.7408
O: 0.2592 0.7408 0.7408
O: 0.7408 0.7408 0.2592
O: 0.2592 0.2592 0.7408
Ba: 0.2500 0.2500 0.2500
O: 0.2592 0.7408 0.2592

***

[5]
A plane-wave DFT calculation with PBE was carried out for crystalline BaNd2In2O7 at its relaxed geometry.

Results
Total moment ... 0.00 μB/cell
Energy of formation from the pure elements ... -2.891 eV/atom

Cell: 5.9793 5.9793 20.7852 Å, 90.00 90.00 90.00°
Element x y z (fractional)
O: 0.7950 0.2050 0.0000
O: 0.5000 0.0000 0.1196
O: 0.5000 0.0000 0.3804
O: 0.0000 0.5000 0.8804
Nd: 0.7201 0.7201 0.1862
O: 0.0000 0.5000 0.3804
In: 0.2595 0.2595 0.3964
Nd: 0.7799 0.2201 0.3138
Nd: 0.7799 0.2201 0.6862
O: 0.0000 0.0000 0.8628
O: 0.5000 0.5000 0.0917
O: 0.5000 0.5000 0.6372
In: 0.2405 0.7595 0.8964
O: 0.3224 0.6776 0.2123
Nd: 0.7201 0.7201 0.8138
In: 0.2405 0.7595 0.1036
O: 0.7050 0.7050 0.5000
O: 0.5000 0.5000 0.9083
O: 0.0000 0.5000 0.6196
O: 0.8224 0.8224 0.2877
O: 0.6776 0.3224 0.2123
O: 0.3224 0.6776 0.7877
O: 0.8224 0.8224 0.7123
Ba: 0.7624 0.2376 0.5000
O: 0.6776 0.3224 0.7877
Nd: 0.2201 0.7799 0.6862
In: 0.7405 0.7405 0.6036
Ba: 0.2376 0.7624 0.5000
In: 0.2595 0.2595 0.6036
Nd: 0.2799 0.2799 0.1862
In: 0.7595 0.2405 0.8964
O: 0.0000 0.0000 0.1372
O: 0.5000 0.0000 0.8804
O: 0.2950 0.2950 0.5000
O: 0.2050 0.7950 0.0000
O: 0.0000 0.0000 0.5917
Nd: 0.2201 0.7799 0.3138
Ba: 0.2624 0.2624 0.0000
O: 0.0000 0.5000 0.1196
In: 0.7405 0.7405 0.3964
Ba: 0.7376 0.7376 0.0000
O: 0.1776 0.1776 0.7123
O: 0.5000 0.5000 0.3628
O: 0.1776 0.1776 0.2877
Nd: 0.2799 0.2799 0.8138
In: 0.7595 0.2405 0.1036
O: 0.0000 0.0000 0.4083
O: 0.5000 0.0000 0.6196

***

[6]
A plane-wave DFT calculation with PBE was carried out for crystalline BaNdInO4 at its relaxed geometry.

Results
Total moment ... 0.00 μB/cell
Energy of formation from the pure elements ... -2.904 eV/atom

Cell: 6.1282 8.3685 9.2368 Å, 76.60 90.00 90.00°
Element x y z (fractional)
O: 0.4939 0.8740 0.6477
In: 0.2557 0.2065 0.1690
Nd: 0.2540 0.8932 0.4527
O: 0.5111 0.7715 0.0123
O: 0.4562 0.6700 0.3878
O: 0.9562 0.8300 0.6122
Ba: 0.2483 0.5312 0.8534
O: 0.3052 0.4525 0.1841
Nd: 0.7460 0.1068 0.5473
O: 0.1948 0.9525 0.1841
O: 0.9939 0.6260 0.3523
O: 0.6948 0.5475 0.8159
In: 0.7557 0.2935 0.8310
Nd: 0.2460 0.3932 0.4527
Ba: 0.7517 0.4688 0.1466
O: 0.8052 0.0475 0.8159
In: 0.7443 0.7935 0.8310
O: 0.0061 0.3740 0.6477
O: 0.0111 0.7285 0.9877
In: 0.2443 0.7065 0.1690
Ba: 0.7483 0.9688 0.1466
O: 0.0438 0.1700 0.3878
O: 0.5438 0.3300 0.6122
O: 0.9889 0.2715 0.0123
O: 0.5061 0.1260 0.3523
Ba: 0.2517 0.0312 0.8534
O: 0.4889 0.2285 0.9877
Nd: 0.7540 0.6068 0.5473

***

[7]
A plane-wave DFT calculation with PBE was carried out for crystalline Ba2NdInTe5 at its relaxed geometry.

Results
Total moment ... 0.00 μB/cell
Energy of formation from the pure elements ... -1.536 eV/atom

Cell: 10.5904 10.5904 14.3969 Å, 90.00 90.00 154.72°
Element x y z (fractional)
Te: 0.9525 0.0475 0.0502
Nd: 0.7905 0.2095 0.0178
Ba: 0.8714 0.1286 0.3170
In: 0.5563 0.4437 0.4346
Te: 0.5037 0.4963 0.7630
Te: 0.3583 0.6417 0.5013
Te: 0.3121 0.6879 0.8616
Nd: 0.2095 0.7905 0.5178
Ba: 0.1181 0.8819 0.1815
Ba: 0.8819 0.1181 0.6815
Te: 0.6879 0.3121 0.3616
Te: 0.7077 0.2923 0.6651
Te: 0.6417 0.3583 0.0013
Ba: 0.1286 0.8714 0.8170
Te: 0.0475 0.9525 0.5502
Te: 0.2923 0.7077 0.1651
In: 0.4437 0.5563 0.9346
Te: 0.4963 0.5037 0.2630

***

[8]
A plane-wave DFT calculation with PBE was carried out for crystalline Ba8In6O17 at its relaxed geometry.

Results
Energy above the most stable polymorph in this dataset ... 0.26 kJ/mol of atoms
Total moment ... 0.00 μB/cell
Energy of formation from the pure elements ... -2.405 eV/atom

Cell: 15.1851 15.1851 6.2023 Å, 89.97 89.97 156.26°
Element x y z (fractional)
O: 0.2460 0.3827 0.6965
Ba: 0.9622 0.5510 0.7667
In: 0.4121 0.1302 0.7241
O: 0.7540 0.6173 0.3035
Ba: 0.5510 0.9622 0.7667
O: 0.3402 0.6598 0.5000
Ba: 0.0378 0.4490 0.2333
O: 0.3867 0.9712 0.8021
In: 0.5879 0.8698 0.2759
O: 0.6133 0.0288 0.1979
O: 0.0000 0.0000 0.5000
O: 0.0000 0.0000 0.0000
O: 0.3827 0.2460 0.6965
Ba: 0.4490 0.0378 0.2333
In: 0.1302 0.4121 0.7241
O: 0.9712 0.3867 0.8021
O: 0.0288 0.6133 0.1979
O: 0.1324 0.8676 0.5000
In: 0.2361 0.2361 0.7648
In: 0.7639 0.7639 0.2352
Ba: 0.6734 0.8103 0.7425
O: 0.6173 0.7540 0.3035
O: 0.8676 0.1324 0.5000
Ba: 0.3266 0.1897 0.2575
O: 0.6598 0.3402 0.5000
Ba: 0.8103 0.6734 0.7425
O: 0.6396 0.3604 0.0000
O: 0.5000 0.5000 0.0000
O: 0.3604 0.6396 0.0000
Ba: 0.1897 0.3266 0.2575
In: 0.8698 0.5879 0.2759

***

[9]
A plane-wave DFT calculation with PBE was carried out for crystalline BaInO3 at its relaxed geometry.

Results
Total moment ... 1.00 μB/cell
Energy of formation from the pure elements ... -2.164 eV/atom

Cell: 4.2858 4.2858 4.2858 Å, 90.00 90.00 90.00°
Element x y z (fractional)
O: 0.0000 0.5000 0.5000
O: 0.5000 0.0000 0.5000
In: 0.5000 0.5000 0.5000
Ba: 0.0000 0.0000 0.0000
O: 0.5000 0.5000 0.0000

***

[10]
A plane-wave DFT calculation with PBE was carried out for crystalline Ba4In6O13 at its relaxed geometry.

Results
Total moment ... 0.00 μB/cell
Energy of formation from the pure elements ... -2.307 eV/atom

Cell: 12.6269 12.6269 12.6269 Å, 153.06 123.03 64.11°
Element x y z (fractional)
O: 0.2412 0.9998 0.7543
O: 0.1835 0.8611 0.1130
O: 0.0081 0.6313 0.3736
O: 0.3751 0.3333 0.7998
Ba: 0.9724 0.8494 0.1342
In: 0.3736 0.2523 0.1267
O: 0.7423 0.8654 0.8736
In: 0.8365 0.0192 0.9312
In: 0.9120 0.5947 0.4312
O: 0.0000 0.7830 0.7830
O: 0.0027 0.0060 0.5024
Ba: 0.5386 0.1663 0.3791
O: 0.2454 0.4998 0.2586
O: 0.5335 0.8333 0.4582
O: 0.4768 0.3376 0.1020
In: 0.1256 0.7523 0.3787
In: 0.0880 0.5192 0.6827
In: 0.5619 0.4618 0.1173
O: 0.5035 0.5060 0.5032
In: 0.3445 0.9618 0.3999
In: 0.8744 0.2531 0.6267
O: 0.7546 0.0132 0.2543
Ba: 0.4614 0.8405 0.6277
Ba: 0.2128 0.3405 0.8791
O: 0.5232 0.6252 0.8608
O: 0.7482 0.3611 0.1777
O: 0.4965 0.9997 0.0024
Ba: 0.2849 0.6619 0.6342
O: 0.0000 0.2830 0.2830
O: 0.9973 0.4997 0.0032
O: 0.4665 0.9247 0.2998
In: 0.1635 0.0947 0.1827
O: 0.7643 0.1252 0.6020
O: 0.8165 0.9295 0.6777
In: 0.4381 0.5554 0.8999
O: 0.9919 0.3654 0.6232
Ba: 0.0276 0.1619 0.8770
O: 0.6249 0.4247 0.9582
O: 0.2577 0.1313 0.1232
O: 0.2518 0.4295 0.6130
In: 0.6555 0.0554 0.6173
Ba: 0.7151 0.3494 0.3770
In: 0.6264 0.7531 0.8787
O: 0.7588 0.5132 0.7586
O: 0.2357 0.8376 0.3608
Ba: 0.7872 0.6663 0.1277

***

[11]
A plane-wave DFT calculation with PBE was carried out for crystalline Ba8In8O19 at its relaxed geometry.

Results
Energy of formation from the pure elements ... -2.378 eV/atom

Cell: 9.4781 9.4781 8.6268 Å, 89.09 89.09 125.07°
Element x y z (fractional)
In: 0.9998 0.5017 0.4982
O: 0.7584 0.2420 0.4954
O: 0.9948 0.5097 0.7497
In: 0.5010 0.9997 0.9999
Ba: 0.6549 0.3753 0.2556
O: 0.3795 0.1540 0.5416
O: 0.0129 0.4958 0.2487
O: 0.6033 0.8277 0.4831
O: 0.0011 0.0011 0.3959
O: 0.7395 0.2602 0.9942
In: 0.2995 0.2995 0.0162
O: 0.0939 0.3169 0.9830
O: 0.3169 0.0939 0.9830
O: 0.5097 0.9948 0.7497
O: 0.2420 0.7584 0.4954
Ba: 0.1608 0.8695 0.7565
O: 0.5014 0.5014 0.8754
Ba: 0.8512 0.1282 0.2393
O: 0.4958 0.0129 0.2487
O: 0.3726 0.3726 0.2470
In: 0.5017 0.9998 0.4982
In: 0.2337 0.2337 0.4531
Ba: 0.1282 0.8512 0.2393
Ba: 0.6329 0.3528 0.7370
O: 0.8841 0.6631 0.0253
In: 0.9997 0.5010 0.9999
O: 0.2602 0.7395 0.9942
Ba: 0.8695 0.1608 0.7565
In: 0.8013 0.8013 0.5499
In: 0.7425 0.7425 0.9140
Ba: 0.3753 0.6549 0.2556
O: 0.8277 0.6033 0.4831
Ba: 0.3528 0.6329 0.7370
O: 0.1540 0.3795 0.5416
O: 0.6631 0.8841 0.0253

***

[12]
A plane-wave DFT calculation with PBE was carried out for crystalline BaInO3 at its relaxed geometry.

Results
Total moment ... 2.00 μB/cell
Energy of formation from the pure elements ... -2.143 eV/atom

Cell: 4.2818 4.2818 8.6499 Å, 90.00 90.00 90.68°
Element x y z (fractional)
O: 0.5133 0.4867 0.7534
Ba: 0.0014 0.9986 0.2656
O: 0.0043 0.5059 0.5000
O: 0.9768 0.6291 0.0000
Ba: 0.0014 0.9986 0.7344
O: 0.5133 0.4867 0.2466
O: 0.3709 0.0232 0.0000
In: 0.4761 0.5239 0.0000
O: 0.4941 0.9957 0.5000
In: 0.5043 0.4957 0.5000